[1]
Ho3Al2Ni6H8 | GGA-PBE | optimized geometry

abc: 7.8451 7.8451 7.8451
angles: 108.94 108.94 110.54
Atoms (fractional coordinates):
Ho: 0.7078 0.7078 0.0000
Ho: 0.0000 0.2698 0.2698
Ho: 0.2698 0.0000 0.2698
Ho: 0.2922 0.2922 0.0000
Ho: 0.0000 0.7302 0.7302
Ho: 0.7302 0.0000 0.7302
Al: 0.0000 0.0000 0.5000
Al: 0.5000 0.0000 0.0000
Al: 0.0000 0.5000 0.0000
Al: 0.5000 0.5000 0.5000
Ni: 0.3264 0.3264 0.6528
Ni: 0.9959 0.6561 0.3398
Ni: 0.6561 0.9959 0.3398
Ni: 0.3264 0.6736 0.0000
Ni: 0.6837 0.3439 0.3398
Ni: 0.3439 0.0041 0.6602
Ni: 0.6736 0.3264 0.0000
Ni: 0.0041 0.3439 0.6602
Ni: 0.3439 0.6837 0.3398
Ni: 0.6736 0.6736 0.3472
Ni: 0.3163 0.6561 0.6602
Ni: 0.6561 0.3163 0.6602
H: 0.0112 0.0112 0.7604
H: 0.7492 0.9888 0.0000
H: 0.9888 0.7492 0.0000
H: 0.2508 0.2508 0.2396
H: 0.9888 0.9888 0.2396
H: 0.2508 0.0112 0.0000
H: 0.0112 0.2508 0.0000
H: 0.7492 0.7492 0.7604
H: 0.7238 0.5000 0.2238
H: 0.7500 0.2500 0.5000
H: 0.5000 0.2762 0.7762
H: 0.2762 0.5000 0.7762
H: 0.5000 0.7238 0.2238
H: 0.2500 0.7500 0.5000
H: 0.0000 0.5000 0.5000
H: 0.5000 0.0000 0.5000

Output
space-group type	No. 139



[2]
Ho2IrRu | GGA-PBE | optimized geometry

abc: 4.8100 4.8100 4.8100
angles: 60.00 60.00 60.00
Atoms (fractional coordinates):
Ho: 0.2500 0.2500 0.2500
Ho: 0.7500 0.7500 0.7500
Ir: 0.5000 0.5000 0.5000
Ru: 0.0000 0.0000 0.0000

Output
space-group type	No. 225



[3]
Na9Nb4Zn8P9S9O72 | GGA-PBE | optimized geometry

abc: 8.8195 8.7992 22.5993
angles: 90.35 89.88 120.02
Atoms (fractional coordinates):
Na: 0.6610 0.9646 0.5832
Na: 0.2985 0.9600 0.0827
Na: 0.0343 0.3386 0.0829
Na: 0.0142 0.0010 0.4961
Na: 0.9857 0.9866 0.9951
Na: 0.6651 0.3337 0.8291
Na: 0.6683 0.3353 0.3285
Na: 0.3447 0.6734 0.1628
Na: 0.3221 0.6620 0.6620
Nb: 0.6775 0.3374 0.9774
Nb: 0.6567 0.3277 0.4772
Nb: 0.3309 0.6663 0.3168
Nb: 0.3359 0.6686 0.8167
Zn: 0.0001 0.9986 0.3540
Zn: 0.9999 0.9982 0.8538
Zn: 0.0200 0.0020 0.6491
Zn: 0.9791 0.9824 0.1485
Zn: 0.6611 0.3293 0.6828
Zn: 0.6725 0.3337 0.1821
Zn: 0.3397 0.6747 0.0137
Zn: 0.3266 0.6693 0.5141
P: 0.3711 0.0380 0.5854
P: 0.9601 0.6280 0.0854
P: 0.6646 0.0388 0.0850
P: 0.6277 0.6706 0.9190
P: 0.0476 0.3723 0.9192
P: 0.3284 0.9596 0.9195
P: 0.6295 0.9549 0.4197
P: 0.3259 0.3743 0.4193
P: 0.0408 0.6704 0.4192
S: 0.2944 0.0031 0.2499
S: 0.7060 0.7043 0.2512
S: 0.9988 0.2909 0.2502
S: 0.2930 0.2919 0.7508
S: 0.9972 0.7047 0.7504
S: 0.7099 0.0023 0.7496
S: 0.9591 0.3362 0.5843
S: 0.6666 0.6249 0.5846
S: 0.3782 0.3364 0.0844
O: 0.2092 0.0228 0.3022
O: 0.8109 0.7866 0.3039
O: 0.9793 0.1862 0.3022
O: 0.2123 0.1884 0.8036
O: 0.9742 0.7856 0.8036
O: 0.8143 0.0221 0.8018
O: 0.7778 0.9680 0.6941
O: 0.1874 0.2229 0.6966
O: 0.0335 0.8100 0.6965
O: 0.7735 0.8093 0.1970
O: 0.0327 0.2229 0.1945
O: 0.1925 0.9685 0.1945
O: 0.8795 0.3620 0.6377
O: 0.4918 0.1237 0.6382
O: 0.6455 0.5212 0.6373
O: 0.8759 0.5115 0.1384
O: 0.6283 0.1212 0.1386
O: 0.4812 0.3607 0.1376
O: 0.4650 0.3098 0.0304
O: 0.8398 0.5295 0.0284
O: 0.6892 0.1641 0.0288
O: 0.4752 0.1618 0.5286
O: 0.6886 0.5347 0.5301
O: 0.8429 0.3118 0.5305
O: 0.5442 0.6937 0.9732
O: 0.1452 0.4515 0.9760
O: 0.3035 0.8578 0.9754
O: 0.5518 0.8559 0.4759
O: 0.3070 0.4591 0.4739
O: 0.1486 0.6967 0.4730
O: 0.1327 0.6362 0.3627
O: 0.5025 0.8644 0.3643
O: 0.3613 0.4967 0.3628
O: 0.1384 0.4975 0.8640
O: 0.3621 0.8652 0.8641
O: 0.5038 0.6382 0.8624
O: 0.0143 0.8232 0.4077
O: 0.8097 0.9852 0.4082
O: 0.1769 0.1924 0.4084
O: 0.0164 0.1908 0.9084
O: 0.1751 0.9849 0.9080
O: 0.8076 0.8230 0.9080
O: 0.9611 0.1677 0.5863
O: 0.1949 0.0308 0.5857
O: 0.8254 0.8021 0.5865
O: 0.9810 0.8119 0.0862
O: 0.8401 0.0409 0.0861
O: 0.2031 0.1722 0.0867
O: 0.6829 0.1547 0.7455
O: 0.4728 0.3208 0.7451
O: 0.8451 0.5251 0.7441
O: 0.6782 0.5249 0.2451
O: 0.8474 0.3189 0.2463
O: 0.4731 0.1555 0.2455
O: 0.6348 0.4941 0.9231
O: 0.8623 0.3649 0.9220
O: 0.5044 0.1425 0.9233
O: 0.6376 0.1407 0.4234
O: 0.5037 0.3661 0.4235
O: 0.8575 0.4946 0.4241
O: 0.3520 0.4881 0.0781
O: 0.1410 0.6419 0.0778
O: 0.5015 0.8586 0.0770
O: 0.3616 0.8596 0.5772
O: 0.5103 0.6440 0.5784
O: 0.1342 0.4880 0.5774
O: 0.3125 0.8375 0.2578
O: 0.5240 0.6875 0.2589
O: 0.1641 0.4743 0.2578
O: 0.3111 0.4752 0.7584
O: 0.1619 0.6865 0.7584
O: 0.5260 0.8372 0.7574

Output
space-group type	No. 1



[4]
LiGaCl3 | GGA-PBE | optimized geometry

abc: 6.2266 9.8874 15.3104
angles: 90.00 90.00 90.00
Atoms (fractional coordinates):
Li: 0.3823 0.9877 0.3684
Li: 0.8823 0.0123 0.1316
Li: 0.6177 0.4877 0.6316
Li: 0.1177 0.5123 0.8684
Li: 0.6177 0.0123 0.6316
Li: 0.1177 0.9877 0.8684
Li: 0.3823 0.5123 0.3684
Li: 0.8823 0.4877 0.1316
Ga: 0.5515 0.7500 0.9939
Ga: 0.0515 0.2500 0.5061
Ga: 0.4485 0.2500 0.0061
Ga: 0.9485 0.7500 0.4939
Ga: 0.4155 0.7500 0.1420
Ga: 0.9155 0.2500 0.3580
Ga: 0.5845 0.2500 0.8580
Ga: 0.0845 0.7500 0.6420
Cl: 0.0556 0.7500 0.1568
Cl: 0.5556 0.2500 0.3432
Cl: 0.9444 0.2500 0.8432
Cl: 0.4444 0.7500 0.6568
Cl: 0.2051 0.7500 0.3884
Cl: 0.7051 0.2500 0.1116
Cl: 0.7949 0.2500 0.6116
Cl: 0.2949 0.7500 0.8884
Cl: 0.9515 0.5729 0.7204
Cl: 0.4515 0.4271 0.7796
Cl: 0.0485 0.0729 0.2796
Cl: 0.5485 0.9271 0.2204
Cl: 0.0485 0.4271 0.2796
Cl: 0.5485 0.5729 0.2204
Cl: 0.9515 0.9271 0.7204
Cl: 0.4515 0.0729 0.7796
Cl: 0.7327 0.9322 0.4687
Cl: 0.2327 0.0678 0.0313
Cl: 0.2673 0.4322 0.5313
Cl: 0.7673 0.5678 0.9687
Cl: 0.2673 0.0678 0.5313
Cl: 0.7673 0.9322 0.9687
Cl: 0.7327 0.5678 0.4687
Cl: 0.2327 0.4322 0.0313

Output
space-group type	No. 62



[5]
Cu2H3ClO3 | GGA-PBE | optimized geometry

abc: 6.1733 5.7418 5.8011
angles: 89.40 90.00 90.00
Atoms (fractional coordinates):
Cu: 0.2500 0.5271 0.0075
Cu: 0.0000 0.5000 0.5000
Cu: 0.5000 0.5000 0.5000
Cu: 0.7500 0.4729 0.9925
H: 0.9596 0.8021 0.8099
H: 0.2500 0.1738 0.5340
H: 0.7500 0.8262 0.4660
H: 0.5404 0.8021 0.8099
H: 0.0404 0.1979 0.1901
H: 0.4596 0.1979 0.1901
Cl: 0.7500 0.1088 0.7205
Cl: 0.2500 0.8912 0.2795
O: 0.4932 0.3670 0.1846
O: 0.7500 0.6695 0.3967
O: 0.2500 0.3305 0.6033
O: 0.5068 0.6330 0.8154
O: 0.9932 0.6330 0.8154
O: 0.0068 0.3670 0.1846

Output
space-group type	No. 11
ΔE to the lowest computed polymorph	4	meV/atom



[6]
WSeS | GGA-PBE | optimized geometry

abc: 3.2534 3.2534 36.9301
angles: 90.00 90.00 120.00
Atoms (fractional coordinates):
W: 0.0000 0.0000 0.0939
W: 0.0000 0.0000 0.4696
W: 0.3333 0.6667 0.2818
W: 0.3333 0.6667 0.6576
Se: 0.0000 0.0000 0.7038
Se: 0.3333 0.6667 0.4234
Se: 0.3333 0.6667 0.5159
Se: 0.0000 0.0000 0.6113
S: 0.0000 0.0000 0.3238
S: 0.3333 0.6667 0.0519
S: 0.3333 0.6667 0.1359
S: 0.0000 0.0000 0.2398

Output
space-group type	No. 156



[7]
V4Cu3S8 | GGA-PBE | optimized geometry

abc: 7.3277 7.3277 7.3277
angles: 54.03 54.03 54.03
Atoms (fractional coordinates):
V: 0.9997 0.9997 0.9997
V: 0.4708 0.4708 0.0548
V: 0.4708 0.0548 0.4708
V: 0.0548 0.4708 0.4708
Cu: 0.6626 0.6626 0.1073
Cu: 0.1073 0.6626 0.6626
Cu: 0.6626 0.1073 0.6626
S: 0.7610 0.2640 0.7610
S: 0.2640 0.7610 0.7610
S: 0.7517 0.2454 0.2454
S: 0.2454 0.7517 0.2454
S: 0.7610 0.7610 0.2640
S: 0.7268 0.7268 0.7268
S: 0.2452 0.2452 0.2452
S: 0.2454 0.2454 0.7517

Output
space-group type	No. 160



[8]
Sr2TbGeO6 | GGA-PBE | optimized geometry

abc: 5.8317 5.8317 5.8317
angles: 60.00 60.00 60.00
Atoms (fractional coordinates):
Sr: 0.2500 0.2500 0.2500
Sr: 0.7500 0.7500 0.7500
Tb: 0.5000 0.5000 0.5000
Ge: 0.0000 0.0000 0.0000
O: 0.7690 0.2310 0.2310
O: 0.2310 0.7690 0.7690
O: 0.7690 0.2310 0.7690
O: 0.2310 0.7690 0.2310
O: 0.7690 0.7690 0.2310
O: 0.2310 0.2310 0.7690

Output
space-group type	No. 225



Results for ΔE_f: -9.65 -2.60 -258.50 -8.57 -8.99 -2.52 -14.68 -29.18 (in eV/f.u., following the order of the records).